This record from Materials Project describes crystalline RbLu3F10 at its relaxed geometry. The functional is PBE.

Cell: 7.8717 7.8717 16.1413 Å, 90.00 90.00 114.67°
Closest atoms and distances in Å follow each position.
Fractional coordinates of all 56 atoms:
F 0.9075 0.5891 0.9875  2 Lu 2.20-2.22, 1 F 2.44
F 0.2978 0.1701 0.1271  2 Lu 2.17-2.20
F 0.2681 0.7319 0.6135  2 Lu 2.14
F 0.0695 0.4305 0.7500  3 Lu 2.30-2.41, 2 F 2.52
F 0.0819 0.3433 0.1722  2 Lu 2.12-2.15
F 0.4109 0.0925 0.9875  2 Lu 2.20-2.22, 1 F 2.44
F 0.2319 0.7681 0.1135  2 Lu 2.14
F 0.1701 0.2978 0.8729  2 Lu 2.17-2.20
F 0.7319 0.2681 0.3865  2 Lu 2.14
F 0.2022 0.3299 0.6271  2 Lu 2.17-2.20
F 0.8299 0.7022 0.1271  2 Lu 2.17-2.20
F 0.0048 0.9952 0.2678  2 Lu 2.14
F 0.7978 0.6701 0.3729  2 Lu 2.17-2.20
F 0.7917 0.2083 0.6058  2 Lu 2.13
F 0.4181 0.1567 0.6722  2 Lu 2.12-2.15
F 0.4952 0.5048 0.7678  2 Lu 2.14
F 0.9305 0.5695 0.2500  3 Lu 2.30-2.41, 2 F 2.52
F 0.6701 0.7978 0.6271  2 Lu 2.17-2.20
F 0.7083 0.2917 0.1058  2 Lu 2.13
F 0.0891 0.4075 0.4875  2 Lu 2.20-2.22, 1 F 2.44
F 0.5695 0.9305 0.7500  3 Lu 2.30-2.41, 2 F 2.52
F 0.5925 0.9109 0.4875  2 Lu 2.20-2.22, 1 F 2.44
F 0.4075 0.0891 0.5125  2 Lu 2.20-2.22, 1 F 2.44
F 0.7022 0.8299 0.8729  2 Lu 2.17-2.20
F 0.5048 0.4952 0.2322  2 Lu 2.14
F 0.9181 0.6567 0.8278  2 Lu 2.12-2.15
F 0.5891 0.9075 0.0125  2 Lu 2.20-2.22, 1 F 2.44
F 0.8433 0.5819 0.6722  2 Lu 2.12-2.15
F 0.4305 0.0695 0.2500  3 Lu 2.30-2.41, 2 F 2.52
F 0.9109 0.5925 0.5125  2 Lu 2.20-2.22, 1 F 2.44
F 0.3299 0.2022 0.3729  2 Lu 2.17-2.20
F 0.7681 0.2319 0.8865  2 Lu 2.14
F 0.5819 0.8433 0.3278  2 Lu 2.12-2.15
F 0.9952 0.0048 0.7322  2 Lu 2.14
F 0.1567 0.4181 0.3278  2 Lu 2.12-2.15
F 0.0925 0.4109 0.0125  2 Lu 2.20-2.22, 1 F 2.44
F 0.2083 0.7917 0.3942  2 Lu 2.13
F 0.2917 0.7083 0.8942  2 Lu 2.13
F 0.6567 0.9181 0.1722  2 Lu 2.12-2.15
F 0.3433 0.0819 0.8278  2 Lu 2.12-2.15
Lu 0.4799 0.0235 0.1129  7 F 2.12-2.30
Lu 0.4765 0.0201 0.3871  7 F 2.12-2.30
Lu 0.0201 0.4765 0.6129  7 F 2.12-2.30
Lu 0.5235 0.9799 0.6129  7 F 2.12-2.30
Lu 0.2490 0.2510 0.2500  6 F 2.14-2.17
Lu 0.9765 0.5201 0.1129  7 F 2.12-2.30
Lu 0.2510 0.2490 0.7500  6 F 2.14-2.17
Lu 0.0235 0.4799 0.8871  7 F 2.12-2.30
Lu 0.7510 0.7490 0.7500  6 F 2.14-2.17
Lu 0.7490 0.7510 0.2500  6 F 2.14-2.17
Lu 0.5201 0.9765 0.8871  7 F 2.12-2.30
Lu 0.9799 0.5235 0.3871  7 F 2.12-2.30
Rb 0.0000 0.0000 0.0000  8 F 2.98-3.01
Rb 0.5000 0.5000 0.0000  10 F 2.99-3.25
Rb 0.5000 0.5000 0.5000  8 F 2.98-3.01
Rb 0.0000 0.0000 0.5000  10 F 2.99-3.25

The space-group type is Cmce (64). The value obtained for the uncorrected energy is -358.25 eV/cell.

=====

This record from Materials Project describes crystalline Li5SiP3 at its relaxed geometry. The functional is PBE.

Cell: 7.0552 7.0552 8.6164 Å, 72.40 72.40 49.61°
Closest atoms and distances in Å follow each position.
Fractional coordinates of all 18 atoms:
Li 0.9145 0.3974 0.9210  4 P 2.52-2.71
Li 0.2175 0.7854 0.7722  4 P 2.51-2.60, 1 Si 2.81
Li 0.5659 0.0855 0.5783  4 P 2.52-2.60, 1 Si 2.77
Li 0.4411 0.9121 0.9084  4 P 2.51-2.59, 1 Si 2.76
Li 0.5949 0.0846 0.0820  4 P 2.57-2.64
Li 0.0846 0.5949 0.5820  4 P 2.57-2.64
Li 0.3974 0.9145 0.4210  4 P 2.52-2.71
Li 0.0855 0.5659 0.0783  4 P 2.52-2.60, 1 Si 2.77
Li 0.9121 0.4411 0.4084  4 P 2.51-2.59, 1 Si 2.76
Li 0.7854 0.2175 0.2722  4 P 2.51-2.60, 1 Si 2.81
Si 0.3231 0.6775 0.1956  3 P 2.17-2.19
Si 0.6775 0.3231 0.6956  3 P 2.17-2.19
P 0.6719 0.6440 0.6722  1 Si 2.19
P 0.9640 0.0357 0.5385  1 Si 2.17
P 0.3322 0.3547 0.3256  1 Si 2.18
P 0.6440 0.6719 0.1722  1 Si 2.19
P 0.0357 0.9640 0.0385  1 Si 2.17
P 0.3547 0.3322 0.8256  1 Si 2.18

The space-group type is Cc (9). For the piezoelectric modulus e_max, the calculation gives 0.229 C/m². The value obtained for the uncorrected energy is -73.06 eV/cell.

=====

The lowest uncorrected energy belongs to which entry? RbLu3F10

=====

Number 1 is which compound? RbLu3F10

=====

Which value of uncorrected energy does entry 2 give? -73.06 eV/cell

=====

Which of these has the lowest uncorrected energy? RbLu3F10